# YbCdPd2 | the Materials Project | r2SCAN | relaxed
data_YbCdPd2
_space_group_name_H-M_alt 'P 1'
_space_group_IT_number 1
_space_group_name_Hall 'P 1'
_cell_length_a 4.705
_cell_length_b 4.705
_cell_length_c 4.705
_cell_angle_alpha 60.00
_cell_angle_beta 60.00
_cell_angle_gamma 60.00
loop_
_atom_site_label
_atom_site_type_symbol
_atom_site_fract_x
_atom_site_fract_y
_atom_site_fract_z
Yb1 Yb 0.000 0.000 0.000
Cd1 Cd 0.500 0.500 0.500
Pd1 Pd 0.250 0.250 0.250
Pd2 Pd 0.750 0.750 0.750
# ΔH_f (0 K)   -0.80 eV/atom
# Total magnetization   0.000 μB/f.u.

# V4O5F7 | the Materials Project | r2SCAN | relaxed
data_V4O5F7
_space_group_name_H-M_alt 'P 1'
_space_group_IT_number 1
_space_group_name_Hall 'P 1'
_cell_length_a 5.080
_cell_length_b 5.238
_cell_length_c 8.848
_cell_angle_alpha 72.80
_cell_angle_beta 89.40
_cell_angle_gamma 61.17
loop_
_atom_site_label
_atom_site_type_symbol
_atom_site_fract_x
_atom_site_fract_y
_atom_site_fract_z
V1 V 0.000 0.000 0.000
V2 V 0.213 0.523 0.761
V3 V 0.537 0.018 0.502
V4 V 0.777 0.523 0.259
O1 O 0.033 0.797 0.881
O2 O 0.080 0.290 0.853
O3 O 0.570 0.268 0.350
O4 O 0.911 0.777 0.592
O5 O 0.917 0.754 0.181
F1 F 0.082 0.254 0.447
F2 F 0.423 0.755 0.679
F3 F 0.428 0.755 0.089
F4 F 0.470 0.252 0.646
F5 F 0.524 0.766 0.390
F6 F 0.574 0.285 0.937
F7 F 0.982 0.233 0.150
# ΔH_f (0 K)   -2.87 eV/atom
# Total magnetization   3.000 μB/f.u.
# Energy relative to the lowest polymorph listed for this composition   11.0 meV per atom

# NaHfCuSe3 | the Materials Project | r2SCAN | relaxed
data_NaHfCuSe3
_space_group_name_H-M_alt 'P 1'
_space_group_IT_number 1
_space_group_name_Hall 'P 1'
_cell_length_a 13.553
_cell_length_b 3.824
_cell_length_c 10.248
_cell_angle_alpha 90.00
_cell_angle_beta 90.00
_cell_angle_gamma 90.00
loop_
_atom_site_label
_atom_site_type_symbol
_atom_site_fract_x
_atom_site_fract_y
_atom_site_fract_z
Na1 Na 0.229 0.250 0.042
Na2 Na 0.271 0.750 0.542
Na3 Na 0.729 0.250 0.458
Na4 Na 0.771 0.750 0.958
Hf1 Hf 0.010 0.250 0.322
Hf2 Hf 0.490 0.750 0.822
Hf3 Hf 0.510 0.250 0.178
Hf4 Hf 0.990 0.750 0.678
Cu1 Cu 0.008 0.750 0.089
Cu2 Cu 0.492 0.250 0.589
Cu3 Cu 0.508 0.750 0.411
Cu4 Cu 0.992 0.250 0.911
Se1 Se 0.102 0.250 0.564
Se2 Se 0.105 0.750 0.880
Se3 Se 0.137 0.750 0.252
Se4 Se 0.363 0.250 0.752
Se5 Se 0.395 0.250 0.380
Se6 Se 0.398 0.750 0.064
Se7 Se 0.602 0.250 0.936
Se8 Se 0.605 0.750 0.620
Se9 Se 0.637 0.750 0.248
Se10 Se 0.863 0.250 0.748
Se11 Se 0.895 0.250 0.120
Se12 Se 0.898 0.750 0.436
# ΔH_f (0 K)   -1.24 eV/atom
# Total magnetization   0.000 μB/f.u.

# NdP12Os4 | the Materials Project | r2SCAN | relaxed
data_NdP12Os4
_space_group_name_H-M_alt 'P 1'
_space_group_IT_number 1
_space_group_name_Hall 'P 1'
_cell_length_a 7.009
_cell_length_b 7.009
_cell_length_c 7.009
_cell_angle_alpha 109.47
_cell_angle_beta 109.47
_cell_angle_gamma 109.47
loop_
_atom_site_label
_atom_site_type_symbol
_atom_site_fract_x
_atom_site_fract_y
_atom_site_fract_z
Nd1 Nd 0.000 0.000 0.000
P1 P 0.143 0.357 0.500
P2 P 0.143 0.643 0.786
P3 P 0.214 0.857 0.357
P4 P 0.357 0.214 0.857
P5 P 0.357 0.500 0.143
P6 P 0.500 0.143 0.357
P7 P 0.500 0.857 0.643
P8 P 0.643 0.500 0.857
P9 P 0.643 0.786 0.143
P10 P 0.786 0.143 0.643
P11 P 0.857 0.357 0.214
P12 P 0.857 0.643 0.500
Os1 Os 0.000 0.000 0.500
Os2 Os 0.000 0.500 0.000
Os3 Os 0.500 0.000 0.000
Os4 Os 0.500 0.500 0.500
# ΔH_f (0 K)   -0.68 eV/atom
# Total magnetization   0.000 μB/f.u.

# SmRe2 | the Materials Project | r2SCAN | relaxed
data_SmRe2
_space_group_name_H-M_alt 'P 1'
_space_group_IT_number 1
_space_group_name_Hall 'P 1'
_cell_length_a 5.453
_cell_length_b 5.453
_cell_length_c 8.926
_cell_angle_alpha 90.00
_cell_angle_beta 90.00
_cell_angle_gamma 120.00
loop_
_atom_site_label
_atom_site_type_symbol
_atom_site_fract_x
_atom_site_fract_y
_atom_site_fract_z
Sm1 Sm 0.333 0.667 0.062
Sm2 Sm 0.333 0.667 0.438
Sm3 Sm 0.667 0.333 0.562
Sm4 Sm 0.667 0.333 0.938
Re1 Re 0.000 0.000 0.000
Re2 Re 0.000 0.000 0.500
Re3 Re 0.170 0.340 0.750
Re4 Re 0.170 0.830 0.750
Re5 Re 0.340 0.170 0.250
Re6 Re 0.660 0.830 0.750
Re7 Re 0.830 0.170 0.250
Re8 Re 0.830 0.660 0.250
# ΔH_f (0 K)   -0.11 eV/atom
# Total magnetization   0.000 μB/f.u.

# ZnTe | the Materials Project | r2SCAN | relaxed
data_ZnTe
_space_group_name_H-M_alt 'P 1'
_space_group_IT_number 1
_space_group_name_Hall 'P 1'
_cell_length_a 4.323
_cell_length_b 4.323
_cell_length_c 10.578
_cell_angle_alpha 90.00
_cell_angle_beta 90.00
_cell_angle_gamma 120.00
loop_
_atom_site_label
_atom_site_type_symbol
_atom_site_fract_x
_atom_site_fract_y
_atom_site_fract_z
Zn1 Zn 0.667 0.667 0.693
Zn2 Zn 0.001 0.333 0.360
Zn3 Zn 0.333 0.999 0.027
Te1 Te 0.667 0.667 0.443
Te2 Te 0.333 0.001 0.777
Te3 Te 0.999 0.333 0.110
# ΔH_f (0 K)   -0.57 eV/atom
# Total magnetization   0.000 μB/f.u.

# ScFe2 | the Materials Project | r2SCAN | relaxed
data_ScFe2
_space_group_name_H-M_alt 'P 1'
_space_group_IT_number 1
_space_group_name_Hall 'P 1'
_cell_length_a 4.976
_cell_length_b 4.976
_cell_length_c 4.976
_cell_angle_alpha 60.00
_cell_angle_beta 60.00
_cell_angle_gamma 60.00
loop_
_atom_site_label
_atom_site_type_symbol
_atom_site_fract_x
_atom_site_fract_y
_atom_site_fract_z
Sc1 Sc 0.125 0.125 0.125
Sc2 Sc 0.875 0.875 0.875
Fe1 Fe 0.000 0.500 0.500
Fe2 Fe 0.500 0.000 0.500
Fe3 Fe 0.500 0.500 0.000
Fe4 Fe 0.500 0.500 0.500
# ΔH_f (0 K)   -0.15 eV/atom
# Total magnetization   3.317 μB/f.u.

# HoAsS | the Materials Project | r2SCAN | relaxed
data_HoAsS
_space_group_name_H-M_alt 'P 1'
_space_group_IT_number 1
_space_group_name_Hall 'P 1'
_cell_length_a 16.887
_cell_length_b 3.799
_cell_length_c 3.833
_cell_angle_alpha 90.00
_cell_angle_beta 90.00
_cell_angle_gamma 90.00
loop_
_atom_site_label
_atom_site_type_symbol
_atom_site_fract_x
_atom_site_fract_y
_atom_site_fract_z
Ho1 Ho 0.146 0.250 0.235
Ho2 Ho 0.354 0.750 0.735
Ho3 Ho 0.646 0.250 0.265
Ho4 Ho 0.854 0.750 0.765
As1 As 0.002 0.250 0.715
As2 As 0.498 0.750 0.215
As3 As 0.502 0.250 0.785
As4 As 0.998 0.750 0.285
S1 S 0.187 0.750 0.739
S2 S 0.313 0.250 0.239
S3 S 0.687 0.750 0.761
S4 S 0.813 0.250 0.261
# ΔH_f (0 K)   -1.77 eV/atom
# Total magnetization   0.000 μB/f.u.